[1]
DFT (PBE-GGA) results for a geometry-optimized YAg3P2S8 structure.

Cell lengths 9.7973, 9.7973, 9.4907 Å; angles 118.96, 118.96, 56.96 degrees
With the nearest neighbours (Å) after each atom.
Sites, in units of the cell vectors:
Y1 0.0347 0.9653 0.7500  8 S 2.78-3.09
Y2 0.9653 0.0347 0.2500  8 S 2.78-3.09
Ag1 0.2304 0.4643 0.2253  4 S 2.61-2.71
Ag2 0.4300 0.5700 0.7500  4 S 2.56-2.74
Ag3 0.4643 0.2304 0.7253  4 S 2.61-2.71
Ag4 0.5357 0.7696 0.2747  4 S 2.61-2.71
Ag5 0.5700 0.4300 0.2500  4 S 2.56-2.74
Ag6 0.7696 0.5357 0.7747  4 S 2.61-2.71
P1 0.1444 0.6602 0.9322  4 S 2.04-2.09
P2 0.3398 0.8556 0.5678  4 S 2.04-2.09
P3 0.6602 0.1444 0.4322  4 S 2.04-2.09
P4 0.8556 0.3398 0.0678  4 S 2.04-2.09
S1 0.0735 0.2610 0.0191  1 P 2.04
S2 0.1015 0.6294 0.6869  1 P 2.05
S3 0.1347 0.7827 0.4210  1 P 2.09
S4 0.2173 0.8653 0.0790  1 P 2.09
S5 0.2610 0.0735 0.5191  1 P 2.04
S6 0.3211 0.4286 0.9774  1 P 2.07
S7 0.3706 0.8985 0.8131  1 P 2.05
S8 0.4286 0.3211 0.4774  1 P 2.07
S9 0.5714 0.6789 0.5226  1 P 2.07
S10 0.6294 0.1015 0.1869  1 P 2.05
S11 0.6789 0.5714 0.0226  1 P 2.07
S12 0.7390 0.9265 0.4809  1 P 2.04
S13 0.7827 0.1347 0.9210  1 P 2.09
S14 0.8653 0.2173 0.5790  1 P 2.09
S15 0.8985 0.3706 0.3131  1 P 2.05
S16 0.9265 0.7390 0.9809  1 P 2.04

Summary:
- Electronic total energy: -4.7511 eV/atom
- Size of the total moment: 0.0 μB per formula unit


[2]
DFT (PBE-GGA) results for a geometry-optimized Cd2Fe3Cu10Sn5Se20 structure.

Cell lengths 21.3846, 7.0347, 21.0166 Å; angles 83.42, 19.07, 77.51 degrees
With the nearest neighbours (Å) after each atom.
Sites, in units of the cell vectors:
Cd1 0.1997 0.8003 0.1997  4 Se 2.67
Cd2 0.8003 0.1997 0.8003  4 Se 2.67
Fe1 0.4002 0.5986 0.4014  4 Se 2.43
Fe2 0.5986 0.4002 0.5998  4 Se 2.43
Fe3 0.9978 0.9978 0.0022  4 Se 2.43-2.44
Cu1 0.0487 0.4492 0.0508  4 Se 2.45
Cu2 0.1449 0.3531 0.1520  4 Se 2.42-2.45
Cu3 0.2489 0.2489 0.2511  4 Se 2.41-2.42
Cu4 0.3531 0.1449 0.3501  4 Se 2.42-2.45
Cu5 0.4492 0.0487 0.4512  4 Se 2.45
Cu6 0.5488 0.9492 0.5508  4 Se 2.45
Cu7 0.6499 0.8480 0.6469  4 Se 2.42-2.45
Cu8 0.7489 0.7489 0.7511  4 Se 2.41-2.42
Cu9 0.8480 0.6499 0.8551  4 Se 2.42-2.45
Cu10 0.9492 0.5488 0.9513  4 Se 2.45
Sn1 0.0951 0.8991 0.1009  4 Se 2.63-2.65
Sn2 0.3026 0.6981 0.3019  4 Se 2.61-2.64
Sn3 0.4990 0.4990 0.5010  4 Se 2.68
Sn4 0.6981 0.3026 0.6974  4 Se 2.61-2.64
Sn5 0.8991 0.0951 0.9049  4 Se 2.63-2.65
Se1 0.0372 0.6990 0.7644  1 Fe 2.43, 2 Cu 2.45, 1 Sn 2.65
Se2 0.0869 0.1787 0.8213  1 Fe 2.44, 2 Cu 2.45, 1 Sn 2.65
Se3 0.0981 0.6340 0.9019  1 Fe 2.43, 2 Cu 2.45, 1 Sn 2.68
Se4 0.1787 0.0869 0.9131  1 Fe 2.44, 2 Cu 2.45, 1 Sn 2.65
Se5 0.2356 0.5006 0.9628  1 Fe 2.43, 2 Cu 2.45, 1 Sn 2.65
Se6 0.2880 0.9922 0.0078  2 Cu 2.42, 1 Sn 2.63, 1 Cd 2.67
Se7 0.3084 0.4018 0.0902  2 Cu 2.42, 1 Sn 2.62, 1 Cd 2.67
Se8 0.3913 0.8876 0.1124  2 Cu 2.41, 1 Sn 2.61, 1 Cd 2.67
Se9 0.4018 0.3084 0.1996  2 Cu 2.42, 1 Sn 2.62, 1 Cd 2.67
Se10 0.4873 0.7779 0.2221  1 Fe 2.43, 2 Cu 2.44, 1 Sn 2.64
Se11 0.5006 0.2356 0.3010  1 Fe 2.43, 2 Cu 2.45, 1 Sn 2.65
Se12 0.5793 0.6860 0.3140  1 Fe 2.43, 2 Cu 2.45, 1 Sn 2.68
Se13 0.6340 0.0981 0.3660  1 Fe 2.43, 2 Cu 2.45, 1 Sn 2.68
Se14 0.6860 0.5793 0.4207  1 Fe 2.43, 2 Cu 2.45, 1 Sn 2.68
Se15 0.6990 0.0372 0.4994  1 Fe 2.43, 2 Cu 2.45, 1 Sn 2.65
Se16 0.7779 0.4873 0.5127  1 Fe 2.43, 2 Cu 2.44, 1 Sn 2.64
Se17 0.8004 0.9098 0.5982  2 Cu 2.42, 1 Sn 2.62, 1 Cd 2.67
Se18 0.8876 0.3913 0.6087  2 Cu 2.41, 1 Sn 2.61, 1 Cd 2.67
Se19 0.9098 0.8004 0.6916  2 Cu 2.42, 1 Sn 2.62, 1 Cd 2.67
Se20 0.9922 0.2880 0.7120  2 Cu 2.42, 1 Sn 2.63, 1 Cd 2.67

Summary:
- Electronic total energy: -4.2483 eV/atom
- Size of the total moment: 11.5 μB per formula unit


[3]
DFT (PBE-GGA) results for a geometry-optimized Li2AgBi structure.

Cell lengths 6.8577, 6.8577, 6.8577 Å; angles 90.00, 90.00, 90.00 degrees
With the nearest neighbours (Å) after each atom.
Sites, in units of the cell vectors:
Li1 0.0000 0.0000 0.0000  4 Li 2.97, 4 Ag 2.97
Li2 0.0000 0.5000 0.5000  4 Li 2.97, 4 Ag 2.97
Li3 0.2500 0.2500 0.2500  4 Li 2.97, 4 Bi 2.97
Li4 0.2500 0.7500 0.7500  4 Li 2.97, 4 Bi 2.97
Li5 0.5000 0.0000 0.5000  4 Li 2.97, 4 Ag 2.97
Li6 0.5000 0.5000 0.0000  4 Li 2.97, 4 Ag 2.97
Li7 0.7500 0.2500 0.7500  4 Li 2.97, 4 Bi 2.97
Li8 0.7500 0.7500 0.2500  4 Li 2.97, 4 Bi 2.97
Ag1 0.2500 0.2500 0.7500  4 Li 2.97, 4 Bi 2.97
Ag2 0.2500 0.7500 0.2500  4 Li 2.97, 4 Bi 2.97
Ag3 0.7500 0.2500 0.2500  4 Li 2.97, 4 Bi 2.97
Ag4 0.7500 0.7500 0.7500  4 Bi 2.97, 4 Li 2.97
Bi1 0.0000 0.0000 0.5000  4 Li 2.97, 4 Ag 2.97
Bi2 0.0000 0.5000 0.0000  4 Li 2.97, 4 Ag 2.97
Bi3 0.5000 0.0000 0.0000  4 Li 2.97, 4 Ag 2.97
Bi4 0.5000 0.5000 0.5000  4 Li 2.97, 4 Ag 2.97

Summary:
- ΔE to the lowest computed polymorph: 0.0 meV/atom


[4]
DFT (PBE-GGA) results for a geometry-optimized ScTaSiS2O12 structure.

Cell lengths 8.9136, 8.9136, 22.9154 Å; angles 90.00, 90.00, 59.83 degrees
With the nearest neighbours (Å) after each atom.
Sites, in units of the cell vectors:
Sc1 0.0017 0.9983 0.5000  6 O 1.95-2.17
Sc2 0.3216 0.3512 0.1673  3 O 1.91-2.14
Sc3 0.3512 0.3216 0.6673  3 O 1.91-2.14
Sc4 0.6599 0.6696 0.8340  5 O 1.95-2.15
Sc5 0.6696 0.6599 0.3340  5 O 1.95-2.15
Sc6 0.9983 0.0017 0.0000  6 O 1.95-2.17
Ta1 0.0060 0.9851 0.2868  3 O 1.85-2.04
Ta2 0.3384 0.3408 0.4538  3 O 1.85-2.04
Ta3 0.3408 0.3384 0.9538  3 O 1.85-2.04
Ta4 0.6656 0.6684 0.6205  6 O 1.91-2.12
Ta5 0.6684 0.6656 0.1205  6 O 1.91-2.12
Ta6 0.9851 0.0060 0.7868  3 O 1.85-2.04
Si1 0.2887 0.7147 0.3954  4 O 1.58-1.71
Si2 0.3300 0.6245 0.0616  4 O 1.58-1.72
Si3 0.6245 0.3300 0.5616  4 O 1.58-1.72
Si4 0.6628 0.9492 0.7286  4 O 1.58-1.71
Si5 0.7147 0.2887 0.8954  4 O 1.58-1.71
Si6 0.9492 0.6628 0.2286  4 O 1.58-1.71
S1 0.0012 0.7105 0.8937  4 O 1.45-1.53
S2 0.0037 0.2821 0.3944  4 O 1.45-1.51
S3 0.0444 0.6147 0.5610  4 O 1.44-1.53
S4 0.0450 0.3332 0.0610  4 O 1.45-1.54
S5 0.2821 0.0037 0.8944  4 O 1.45-1.51
S6 0.3332 0.0450 0.5610  4 O 1.45-1.54
S7 0.3762 0.6698 0.7274  4 O 1.45-1.52
S8 0.3784 0.9511 0.2269  4 O 1.45-1.53
S9 0.6147 0.0444 0.0610  4 O 1.44-1.53
S10 0.6698 0.3762 0.2274  4 O 1.45-1.52
S11 0.7105 0.0012 0.3937  4 O 1.45-1.53
S12 0.9511 0.3784 0.7269  4 O 1.45-1.53
O1 0.0163 0.1879 0.0530  1 S 1.45
O2 0.0160 0.7876 0.5511  1 S 1.45
O3 0.0317 0.1723 0.3412  1 S 1.50
O4 0.0390 0.7878 0.8409  1 S 1.51
O5 0.1207 0.3560 0.7158  1 S 1.45
O6 0.1223 0.3653 0.0081  1 S 1.49
O7 0.1246 0.5004 0.5078  1 S 1.52
O8 0.1391 0.5026 0.2190  1 Si 1.59
O9 0.1464 0.5352 0.6128  1 S 1.44
O10 0.1502 0.3048 0.1127  1 S 1.45
O11 0.1568 0.8114 0.3368  1 Si 1.71, 1 Ta 1.85
O12 0.1615 0.5313 0.9020  1 S 1.53
O13 0.1647 0.2937 0.4038  1 S 1.51
O14 0.1705 0.8103 0.0472  1 Si 1.58
O15 0.1723 0.0317 0.8412  1 S 1.50
O16 0.1879 0.0163 0.5530  1 S 1.45
O17 0.1917 0.8275 0.4509  1 Si 1.58
O18 0.1988 0.9708 0.2350  1 S 1.53
O19 0.2041 0.9737 0.9459  1 S 1.46
O20 0.2051 0.8335 0.7362  1 S 1.50
O21 0.2937 0.1647 0.9038  1 S 1.51
O22 0.2955 0.5218 0.4044  1 Si 1.70, 1 Ta 1.85
O23 0.3048 0.1502 0.6127  1 S 1.45
O24 0.3089 0.5260 0.1159  1 Si 1.59
O25 0.3441 0.5276 0.7175  1 S 1.45
O26 0.3560 0.1207 0.2158  1 S 1.45
O27 0.3626 0.4907 0.0031  1 Si 1.72, 1 Ta 1.85
O28 0.3653 0.1223 0.5082  1 S 1.49
O29 0.4553 0.8558 0.8860  1 S 1.45
O30 0.4563 0.8350 0.1740  1 S 1.52
O31 0.4606 0.6986 0.6743  1 S 1.52
O32 0.4767 0.6805 0.3814  1 Si 1.58
O33 0.4805 0.8711 0.2787  1 S 1.45
O34 0.4849 0.6360 0.7787  1 S 1.46
O35 0.4907 0.3626 0.5031  1 Si 1.72, 1 Ta 1.85
O36 0.4961 0.8666 0.5697  1 S 1.54
O37 0.5004 0.1246 0.0078  1 S 1.52
O38 0.5026 0.1391 0.7190  1 Si 1.59
O39 0.5088 0.6358 0.0735  1 Si 1.67
O40 0.5218 0.2955 0.9044  1 Si 1.70, 1 Ta 1.85
O41 0.5260 0.3089 0.6159  1 Si 1.59
O42 0.5276 0.3441 0.2175  1 S 1.45
O43 0.5313 0.1615 0.4020  1 S 1.53
O44 0.5352 0.1464 0.1128  1 S 1.44
O45 0.6278 0.8674 0.0682  1 S 1.53
O46 0.6360 0.4849 0.2787  1 S 1.46
O47 0.6358 0.5088 0.5735  1 Si 1.67
O48 0.6472 0.8535 0.7844  1 Si 1.58
O49 0.6805 0.4767 0.8814  1 Si 1.58
O50 0.6845 0.8550 0.3845  1 S 1.45
O51 0.6964 0.8224 0.6702  1 Si 1.68
O52 0.6986 0.4606 0.1743  1 S 1.52
O53 0.7876 0.0160 0.0511  1 S 1.45
O54 0.7878 0.0390 0.3409  1 S 1.51
O55 0.8103 0.1705 0.5472  1 Si 1.58
O56 0.8114 0.1568 0.8368  1 Si 1.71, 1 Ta 1.85
O57 0.8144 0.9761 0.4454  1 S 1.45
O58 0.8224 0.6964 0.1702  1 Si 1.68
O59 0.8275 0.1917 0.9509  1 Si 1.58
O60 0.8335 0.2051 0.2362  1 S 1.50
O61 0.8350 0.4563 0.6740  1 S 1.52
O62 0.8460 0.9623 0.7382  1 Si 1.71, 1 Ta 1.85
O63 0.8535 0.6472 0.2844  1 Si 1.58
O64 0.8550 0.6845 0.8845  1 S 1.45
O65 0.8558 0.4553 0.3860  1 S 1.45
O66 0.8666 0.4961 0.0697  1 S 1.54
O67 0.8674 0.6278 0.5682  1 S 1.53
O68 0.8711 0.4805 0.7787  1 S 1.45
O69 0.9623 0.8460 0.2382  1 Si 1.71, 1 Ta 1.85
O70 0.9708 0.1988 0.7350  1 S 1.53
O71 0.9737 0.2041 0.4459  1 S 1.46
O72 0.9761 0.8144 0.9454  1 S 1.45

Summary:
- Electronic total energy: -7.5724 eV/atom
- Size of the total moment: 0.0 μB per formula unit


[5]
DFT (PBE-GGA) results for a geometry-optimized La5C2I9 structure.

Cell lengths 8.1077, 17.3349, 36.8255 Å; angles 90.00, 90.00, 90.00 degrees
With the nearest neighbours (Å) after each atom.
Sites, in units of the cell vectors:
La1 0.0157 0.1965 0.1043  2 C 2.50-2.53
La2 0.0157 0.3035 0.6043  2 C 2.50-2.53
La3 0.0950 0.6722 0.2917  1 C 2.35
La4 0.0950 0.8278 0.7917  1 C 2.35
La5 0.1022 0.1991 0.4445  1 C 2.35
La6 0.1022 0.3009 0.9445  1 C 2.35
La7 0.1041 0.1943 0.8490  2 C 2.45-2.51
La8 0.1041 0.3057 0.3490  2 C 2.45-2.51
La9 0.1257 0.0680 0.3618  2 C 2.50-2.52
La10 0.1257 0.4320 0.8618  2 C 2.50-2.52
La11 0.3743 0.5680 0.3618  2 C 2.50-2.52
La12 0.3743 0.9320 0.8618  2 C 2.50-2.52
La13 0.3959 0.6943 0.8490  2 C 2.45-2.51
La14 0.3959 0.8057 0.3490  2 C 2.45-2.51
La15 0.3978 0.6991 0.4445  1 C 2.35
La16 0.3978 0.8009 0.9445  1 C 2.35
La17 0.4050 0.1722 0.2917  1 C 2.35
La18 0.4050 0.3278 0.7917  1 C 2.35
La19 0.4843 0.6965 0.1043  2 C 2.50-2.53
La20 0.4843 0.8035 0.6043  2 C 2.50-2.53
La21 0.5157 0.1965 0.3957  2 C 2.50-2.53
La22 0.5157 0.3035 0.8957  2 C 2.50-2.53
La23 0.5950 0.6722 0.2083  1 C 2.35
La24 0.5950 0.8278 0.7083  1 C 2.35
La25 0.6022 0.1991 0.0555  1 C 2.35
La26 0.6022 0.3009 0.5555  1 C 2.35
La27 0.6041 0.1943 0.6510  2 C 2.45-2.51
La28 0.6041 0.3057 0.1510  2 C 2.45-2.51
La29 0.6257 0.0680 0.1382  2 C 2.50-2.52
La30 0.6257 0.4320 0.6382  2 C 2.50-2.52
La31 0.8743 0.5680 0.1382  2 C 2.50-2.52
La32 0.8743 0.9320 0.6382  2 C 2.50-2.52
La33 0.8959 0.6943 0.6510  2 C 2.45-2.51
La34 0.8959 0.8057 0.1510  2 C 2.45-2.51
La35 0.8978 0.6991 0.0555  1 C 2.35
La36 0.8978 0.8009 0.5555  1 C 2.35
La37 0.9050 0.1722 0.2083  1 C 2.35
La38 0.9050 0.3278 0.7083  1 C 2.35
La39 0.9843 0.6965 0.3957  2 C 2.50-2.53
La40 0.9843 0.8035 0.8957  2 C 2.50-2.53
C1 0.2112 0.1984 0.3854  1 C 1.47
C2 0.2112 0.3016 0.8854  1 C 1.47
C3 0.2146 0.6882 0.3494  1 C 1.47
C4 0.2146 0.8118 0.8494  1 C 1.47
C5 0.2854 0.1882 0.3494  1 C 1.47
C6 0.2854 0.3118 0.8494  1 C 1.47
C7 0.2888 0.6984 0.3854  1 C 1.47
C8 0.2888 0.8016 0.8854  1 C 1.47
C9 0.7112 0.1984 0.1146  1 C 1.47
C10 0.7112 0.3016 0.6146  1 C 1.47
C11 0.7146 0.6882 0.1506  1 C 1.47
C12 0.7146 0.8118 0.6506  1 C 1.47
C13 0.7854 0.1882 0.1506  1 C 1.47
C14 0.7854 0.3118 0.6506  1 C 1.47
C15 0.7888 0.6984 0.1146  1 C 1.47
C16 0.7888 0.8016 0.6146  1 C 1.47
I1 0.0098 0.0022 0.8383  3 La 3.31-3.54
I2 0.0098 0.4978 0.3383  3 La 3.31-3.54
I3 0.0272 0.6224 0.8551  3 La 3.25-3.50, 1 C 3.62
I4 0.0272 0.8776 0.3551  3 La 3.25-3.50, 1 C 3.62
I5 0.0809 0.7029 0.9699  3 La 3.22-3.49
I6 0.0809 0.7971 0.4699  3 La 3.22-3.49
I7 0.1143 0.0536 0.2705  3 La 3.22-3.52
I8 0.1143 0.4464 0.7705  3 La 3.22-3.52
I9 0.1442 0.6700 0.5809  2 La 3.16-3.30
I10 0.1442 0.8300 0.0809  2 La 3.16-3.30
I11 0.1446 0.1994 0.7612  3 La 3.25-3.54
I12 0.1446 0.3006 0.2612  3 La 3.25-3.54
I13 0.1645 0.5471 0.4431  3 La 3.24-3.46, 1 C 3.52
I14 0.1645 0.9529 0.9431  3 La 3.24-3.46, 1 C 3.52
I15 0.1746 0.5723 0.0749  3 La 3.22-3.48
I16 0.1746 0.9277 0.5749  3 La 3.22-3.48
I17 0.2101 0.6836 0.1719  4 La 3.34-3.60
I18 0.2101 0.8164 0.6719  4 La 3.34-3.60
I19 0.2899 0.1836 0.1719  4 La 3.34-3.60
I20 0.2899 0.3164 0.6719  4 La 3.34-3.60
I21 0.3254 0.0723 0.0749  3 La 3.22-3.48
I22 0.3254 0.4277 0.5749  3 La 3.22-3.48
I23 0.3355 0.0471 0.4431  3 La 3.24-3.46, 1 C 3.52
I24 0.3355 0.4529 0.9431  3 La 3.24-3.46, 1 C 3.52
I25 0.3554 0.6994 0.7612  3 La 3.25-3.54
I26 0.3554 0.8006 0.2612  3 La 3.25-3.54
I27 0.3558 0.1700 0.5809  2 La 3.16-3.30
I28 0.3558 0.3300 0.0809  2 La 3.16-3.30
I29 0.3857 0.5536 0.2705  3 La 3.22-3.52
I30 0.3857 0.9464 0.7705  3 La 3.22-3.52
I31 0.4191 0.2029 0.9699  3 La 3.22-3.49
I32 0.4191 0.2971 0.4699  3 La 3.22-3.49
I33 0.4728 0.1224 0.8551  3 La 3.25-3.50, 1 C 3.62
I34 0.4728 0.3776 0.3551  3 La 3.25-3.50, 1 C 3.62
I35 0.4902 0.5022 0.8383  3 La 3.31-3.54
I36 0.4902 0.9978 0.3383  3 La 3.31-3.54
I37 0.5098 0.0022 0.6617  3 La 3.31-3.54
I38 0.5098 0.4978 0.1617  3 La 3.31-3.54
I39 0.5272 0.6224 0.6449  3 La 3.25-3.50, 1 C 3.62
I40 0.5272 0.8776 0.1449  3 La 3.25-3.50, 1 C 3.62
I41 0.5809 0.7029 0.5301  3 La 3.22-3.49
I42 0.5809 0.7971 0.0301  3 La 3.22-3.49
I43 0.6143 0.0536 0.2295  3 La 3.22-3.52
I44 0.6143 0.4464 0.7295  3 La 3.22-3.52
I45 0.6442 0.6700 0.9191  2 La 3.16-3.30
I46 0.6442 0.8300 0.4191  2 La 3.16-3.30
I47 0.6446 0.1994 0.7388  3 La 3.25-3.54
I48 0.6446 0.3006 0.2388  3 La 3.25-3.54
I49 0.6645 0.5471 0.0569  3 La 3.24-3.46, 1 C 3.52
I50 0.6645 0.9529 0.5569  3 La 3.24-3.46, 1 C 3.52
I51 0.6746 0.5723 0.4251  3 La 3.22-3.48
I52 0.6746 0.9277 0.9251  3 La 3.22-3.48
I53 0.7101 0.6836 0.3281  4 La 3.34-3.60
I54 0.7101 0.8164 0.8281  4 La 3.34-3.60
I55 0.7899 0.1836 0.3281  4 La 3.34-3.60
I56 0.7899 0.3164 0.8281  4 La 3.34-3.60
I57 0.8254 0.0723 0.4251  3 La 3.22-3.48
I58 0.8254 0.4277 0.9251  3 La 3.22-3.48
I59 0.8355 0.0471 0.0569  3 La 3.24-3.46, 1 C 3.52
I60 0.8355 0.4529 0.5569  3 La 3.24-3.46, 1 C 3.52
I61 0.8554 0.6994 0.7388  3 La 3.25-3.54
I62 0.8554 0.8006 0.2388  3 La 3.25-3.54
I63 0.8558 0.1700 0.9191  2 La 3.16-3.30
I64 0.8558 0.3300 0.4191  2 La 3.16-3.30
I65 0.8857 0.5536 0.2295  3 La 3.22-3.52
I66 0.8857 0.9464 0.7295  3 La 3.22-3.52
I67 0.9191 0.2029 0.5301  3 La 3.22-3.49
I68 0.9191 0.2971 0.0301  3 La 3.22-3.49
I69 0.9728 0.1224 0.6449  3 La 3.25-3.50, 1 C 3.62
I70 0.9728 0.3776 0.1449  3 La 3.25-3.50, 1 C 3.62
I71 0.9902 0.5022 0.6617  3 La 3.31-3.54
I72 0.9902 0.9978 0.1617  3 La 3.31-3.54

Summary:
- ΔE to the lowest computed polymorph: 0.0 meV/atom
- Size of the total moment: 0.0 μB per formula unit